[1]
## MgFe6O6F6 (GGA+U)

Data for a geometry-optimized MgFe6O6F6 structure.

Summary:
For the energy of formation from the pure elements, the calculation gives -2.11 eV per atom. The spin magnetization is 28.000 μB/f.u. The offset from the most stable computed form is 33 meV per atom.

a = 6.9257 Å, b = 15.1786 Å, c = 3.0935 Å
α = 90.05°, β = 89.66°, γ = 135.57°
Closest atoms and distances in Å follow each position.
Fractional coordinates of all 19 atoms:
O1 0.2818 0.3700 0.5142  2 Fe 1.99-2.23, 2 Mg 2.13
O2 0.7635 0.9838 0.5146  3 Fe 1.96-2.00
O3 0.2955 0.8955 0.0165  3 Fe 1.92-1.96
O4 0.2213 0.6754 0.5205  3 Fe 1.84-1.94
O5 0.3209 0.5440 0.0148  3 Fe 1.97-2.19, 1 Mg 2.00
O6 0.2539 0.1862 0.0129  3 Fe 1.93-1.96
F1 0.1860 0.0101 0.5129  3 Fe 2.11-2.30
F2 0.7650 0.6344 0.5088  2 Mg 2.08-2.09
F3 0.7570 0.3119 0.5078  3 Fe 2.10-2.12
F4 0.7148 0.1379 0.0096  3 Fe 2.13-2.14
F5 0.6918 0.4343 0.0101  1 Mg 1.95, 2 Fe 2.16-2.17
F6 0.7174 0.7970 0.0135  3 Fe 2.17-2.24
Fe1 0.5004 0.9994 0.5142  3 O 1.92-2.00, 2 F 2.13-2.14
Fe2 0.4554 0.6561 0.5140  3 O 1.84-1.97
Fe3 0.9648 0.0019 0.0124  3 O 1.96-1.97, 2 F 2.11-2.12
Fe4 0.1605 0.7299 0.0215  3 O 1.94-1.96
Fe5 0.0015 0.3382 0.0076  3 F 2.10-2.14, 3 O 2.19-2.27
Fe6 0.4273 0.2946 0.5113  3 O 1.93-1.99, 1 F 2.10
Mg1 0.5411 0.5040 0.0128  3 F 1.95-2.09, 3 O 2.00-2.13

[2]
## V3O5F (GGA+U)

Data for a geometry-optimized V3O5F structure.

Summary:
For the energy of formation from the pure elements, the calculation gives -2.58 eV per atom. The spin magnetization is 4.000 μB/f.u. The offset from the most stable computed form is 22 meV per atom.

a = 5.5053 Å, b = 5.5053 Å, c = 7.2742 Å
α = 71.86°, β = 71.86°, γ = 71.01°
Closest atoms and distances in Å follow each position.
Fractional coordinates of all 18 atoms:
V1 0.1716 0.1716 0.8425  5 O 1.93-2.05, 1 F 2.08
V2 0.5000 0.5000 0.0000  6 O 1.96-2.00
V3 0.1542 0.1542 0.3156  5 O 1.81-1.99
V4 0.5000 0.5000 0.5000  4 O 1.96-2.04, 2 F 2.05
V5 0.8284 0.8284 0.1575  5 O 1.93-2.05, 1 F 2.08
V6 0.8458 0.8458 0.6844  5 O 1.81-1.99
O1 0.8664 0.4696 0.8285  3 V 1.93-2.00
O2 0.8073 0.1927 0.5000  3 V 1.95-1.96
O3 0.0641 0.0641 0.1311  2 V 1.81-1.95
O4 0.5304 0.1336 0.1715  3 V 1.93-2.00
O5 0.6006 0.6006 0.1959  3 V 1.95-2.04
O6 0.3994 0.3994 0.8041  3 V 1.95-2.04
O7 0.9359 0.9359 0.8689  2 V 1.81-1.95
O8 0.1927 0.8073 0.5000  3 V 1.95-1.96
O9 0.4696 0.8664 0.8285  3 V 1.93-2.00
O10 0.1336 0.5304 0.1715  3 V 1.93-2.00
F1 0.7377 0.7377 0.4664  3 V 2.05-2.15
F2 0.2623 0.2623 0.5336  3 V 2.05-2.15

[3]
## RbSi2Mo3P6O25 (GGA+U)

Data for a geometry-optimized RbSi2Mo3P6O25 structure.

Summary:
For the energy of formation from the pure elements, the calculation gives -1.60 eV per atom. The spin magnetization is 0.987 μB/f.u.

a = 9.2137 Å, b = 9.2137 Å, c = 13.1260 Å
α = 90.00°, β = 90.00°, γ = 120.00°
Closest atoms and distances in Å follow each position.
Fractional coordinates of all 74 atoms:
Si1 0.0000 0.0000 0.3664  4 O 1.72-1.75
Si2 0.0000 0.0000 0.8664  4 O 1.72-1.75
Si3 0.0000 0.0000 0.6336  4 O 1.72-1.75
Si4 0.0000 0.0000 0.1336  4 O 1.72-1.75
O1 0.4346 0.1018 0.2857  1 P 1.50
O2 0.2298 0.8468 0.9700  1 P 1.52
O3 0.8890 0.8085 0.6925  1 O 1.54, 1 Si 1.72
O4 0.3830 0.1532 0.4700  1 P 1.52
O5 0.1915 0.0805 0.6925  1 O 1.54, 1 Si 1.72
O6 0.1117 0.5904 0.0860  1 P 1.52
O7 0.4787 0.5904 0.4140  1 P 1.52
O8 0.8883 0.4096 0.9140  1 P 1.52
O9 0.8085 0.9195 0.3075  1 O 1.54, 1 Si 1.72
O10 0.5904 0.1117 0.5860  1 P 1.52
O11 0.6672 0.1018 0.2143  1 P 1.50
O12 0.8468 0.2298 0.4700  1 P 1.52
O13 0.1110 0.1915 0.3075  1 O 1.54, 1 Si 1.72
O14 0.8890 0.0805 0.8075  1 O 1.54, 1 Si 1.72
O15 0.1915 0.1110 0.8075  1 O 1.54, 1 Si 1.72
O16 0.6170 0.7702 0.9700  1 P 1.52
O17 0.8982 0.3328 0.2857  1 P 1.50
O18 0.5904 0.4787 0.9140  1 P 1.52
O19 0.4096 0.8883 0.4140  1 P 1.52
O20 0.0805 0.1915 0.1925  1 O 1.54, 1 Si 1.72
O21 0.0000 0.0000 0.0000  2 Si 1.75
O22 0.4346 0.3328 0.2143  1 P 1.50
O23 0.5213 0.4096 0.5860  1 P 1.52
O24 0.1110 0.9195 0.1925  1 O 1.54, 1 Si 1.72
O25 0.3328 0.4346 0.7143  1 P 1.50
O26 0.0805 0.8890 0.3075  1 O 1.54, 1 Si 1.72
O27 0.3328 0.8982 0.7857  1 P 1.50
O28 0.5213 0.1117 0.9140  1 P 1.52
O29 0.3830 0.2298 0.0300  1 P 1.52
O30 0.8085 0.8890 0.1925  1 O 1.54, 1 Si 1.72
O31 0.4787 0.8883 0.0860  1 P 1.52
O32 0.8982 0.5654 0.2143  1 P 1.50
O33 0.6170 0.8468 0.5300  1 P 1.52
O34 0.1532 0.3830 0.9700  1 P 1.52
O35 0.7702 0.6170 0.4700  1 P 1.52
O36 0.1018 0.4346 0.7857  1 P 1.50
O37 0.8883 0.4787 0.5860  1 P 1.52
O38 0.4096 0.5213 0.0860  1 P 1.52
O39 0.1018 0.6672 0.7143  1 P 1.50
O40 0.7702 0.1532 0.0300  1 P 1.52
O41 0.1117 0.5213 0.4140  1 P 1.52
O42 0.2298 0.3830 0.5300  1 P 1.52
O43 0.5654 0.8982 0.7143  1 P 1.50
O44 0.9195 0.8085 0.8075  1 O 1.54, 1 Si 1.72
O45 0.8468 0.6170 0.0300  1 P 1.52
O46 0.0000 0.0000 0.5000  2 Si 1.75
O47 0.6672 0.5654 0.2857  1 P 1.50
O48 0.1532 0.7702 0.5300  1 P 1.52
O49 0.9195 0.1110 0.6925  1 O 1.54, 1 Si 1.72
O50 0.5654 0.6672 0.7857  1 P 1.50
Mo1 0.6667 0.3333 0.4924  6 O 2.18-2.31
Mo2 0.3333 0.6667 0.9924  6 O 2.18-2.31
Mo3 0.3333 0.6667 0.5076  6 O 2.18-2.31
Mo4 0.6667 0.3333 0.0076  6 O 2.18-2.31
Mo5 0.6667 0.3333 0.2500  6 O 2.19
Mo6 0.3333 0.6667 0.7500  6 O 2.19
P1 0.3756 0.4403 0.6034  3 O 1.50-1.52
P2 0.9354 0.3756 0.3966  3 O 1.50-1.52
P3 0.5597 0.9354 0.6034  3 O 1.50-1.52
P4 0.9354 0.5597 0.1034  3 O 1.50-1.52
P5 0.3756 0.9354 0.8966  3 O 1.50-1.52
P6 0.4403 0.3756 0.1034  3 O 1.50-1.52
P7 0.6244 0.5597 0.3966  3 O 1.50-1.52
P8 0.0646 0.4403 0.8966  3 O 1.50-1.52
P9 0.5597 0.6244 0.8966  3 O 1.50-1.52
P10 0.0646 0.6244 0.6034  3 O 1.50-1.52
P11 0.4403 0.0646 0.3966  3 O 1.50-1.52
P12 0.6244 0.0646 0.1034  3 O 1.50-1.52
Rb1 0.3333 0.6667 0.2500  6 O 2.80
Rb2 0.6667 0.3333 0.7500  6 O 2.80

[4]
## Na2Fe2O5 (GGA+U)

Data for a geometry-optimized Na2Fe2O5 structure.

Summary:
For the energy of formation from the pure elements, the calculation gives -1.50 eV per atom. The spin magnetization is 0.641 μB/f.u.

a = 8.2987 Å, b = 8.2987 Å, c = 8.2987 Å
α = 141.64°, β = 141.02°, γ = 55.85°
Closest atoms and distances in Å follow each position.
Fractional coordinates of all 18 atoms:
Na1 0.4152 0.8917 0.5204  6 O 2.36-2.54
Na2 0.8713 0.3917 0.4765  6 O 2.36-2.54
Na3 0.5848 0.1052 0.4765  6 O 2.36-2.54
Na4 0.1287 0.6052 0.5204  6 O 2.36-2.54
O1 0.7609 0.2501 0.9922  2 Fe 1.94-1.95
O2 0.1189 0.6257 0.2446  2 Fe 1.87-1.88
O3 0.1897 0.1152 0.0267  1 Fe 1.79
O4 0.8811 0.1257 0.5068  2 Fe 1.87-1.88
O5 0.5886 0.6152 0.9255  1 Fe 1.79
O6 0.4114 0.3369 0.0267  1 Fe 1.79
O7 0.2421 0.7313 0.9922  2 Fe 1.94-1.95
O8 0.7579 0.7501 0.4892  2 Fe 1.94-1.95
O9 0.2391 0.2313 0.4892  2 Fe 1.94-1.95
O10 0.8103 0.8369 0.9255  1 Fe 1.79
Fe1 0.1797 0.2889 0.9686  4 O 1.79-1.88
Fe2 0.0000 0.9910 0.9910  6 O 1.94-2.06
Fe3 0.8203 0.7889 0.1093  4 O 1.79-1.88
Fe4 0.5000 0.4910 0.9910  6 O 1.94-2.06

Repeat the first record exactly.
## MgFe6O6F6 (GGA+U)

Data for a geometry-optimized MgFe6O6F6 structure.

Summary:
For the energy of formation from the pure elements, the calculation gives -2.11 eV per atom. The spin magnetization is 28.000 μB/f.u. The offset from the most stable computed form is 33 meV per atom.

a = 6.9257 Å, b = 15.1786 Å, c = 3.0935 Å
α = 90.05°, β = 89.66°, γ = 135.57°
Closest atoms and distances in Å follow each position.
Fractional coordinates of all 19 atoms:
O1 0.2818 0.3700 0.5142  2 Fe 1.99-2.23, 2 Mg 2.13
O2 0.7635 0.9838 0.5146  3 Fe 1.96-2.00
O3 0.2955 0.8955 0.0165  3 Fe 1.92-1.96
O4 0.2213 0.6754 0.5205  3 Fe 1.84-1.94
O5 0.3209 0.5440 0.0148  3 Fe 1.97-2.19, 1 Mg 2.00
O6 0.2539 0.1862 0.0129  3 Fe 1.93-1.96
F1 0.1860 0.0101 0.5129  3 Fe 2.11-2.30
F2 0.7650 0.6344 0.5088  2 Mg 2.08-2.09
F3 0.7570 0.3119 0.5078  3 Fe 2.10-2.12
F4 0.7148 0.1379 0.0096  3 Fe 2.13-2.14
F5 0.6918 0.4343 0.0101  1 Mg 1.95, 2 Fe 2.16-2.17
F6 0.7174 0.7970 0.0135  3 Fe 2.17-2.24
Fe1 0.5004 0.9994 0.5142  3 O 1.92-2.00, 2 F 2.13-2.14
Fe2 0.4554 0.6561 0.5140  3 O 1.84-1.97
Fe3 0.9648 0.0019 0.0124  3 O 1.96-1.97, 2 F 2.11-2.12
Fe4 0.1605 0.7299 0.0215  3 O 1.94-1.96
Fe5 0.0015 0.3382 0.0076  3 F 2.10-2.14, 3 O 2.19-2.27
Fe6 0.4273 0.2946 0.5113  3 O 1.93-1.99, 1 F 2.10
Mg1 0.5411 0.5040 0.0128  3 F 1.95-2.09, 3 O 2.00-2.13

- Among the records above, which one has the lowest spin magnetization?
  Na2Fe2O5

- Which value of energy of formation from the pure elements does entry 4 give?
  -1.50 eV per atom

- Among the records above, which one has the lowest spin magnetization?
  Na2Fe2O5